Record 1
Material: SrH4O3
Method: DFT, GGA-PBE
State: relaxed

abc: 3.6877 6.2305 6.7690
angles: 90.00 90.00 90.00
Space group Pmc2_1 (No. 26)
One atom of each set of equivalent atoms:
Sr  0.0000  0.1263  0.0000
H  0.2096  0.3801  0.5820
H  0.5000  0.2038  0.3452
H  0.5000  0.4667  0.8574
O  0.0000  0.2868  0.6274
O  0.5000  0.0619  0.2842
O  0.5000  0.4392  0.9993

Results
The volume comes out at 155.5 Å³/cell. The value obtained for the energy relative to the elements is -1800 meV per atom.

Record 2
Material: SrH16O10
Method: DFT, GGA-PBE
State: relaxed

abc: 5.7663 6.3747 6.9541
angles: 89.63 87.83 88.83
Space group P1 (No. 1)
One atom of each set of equivalent atoms:
Sr  0.0000  0.0000  0.0000
H  0.2494  0.4241  0.1325
H  0.2575  0.3054  0.3225
H  0.2695  0.6780  0.3177
H  0.2887  0.0882  0.6851
H  0.3060  0.3465  0.6473
H  0.3100  0.6978  0.6491
H  0.4458  0.7695  0.1767
H  0.4486  0.8048  0.8068
H  0.5362  0.2326  0.8260
H  0.5723  0.2414  0.2057
H  0.7030  0.6981  0.3652
H  0.7032  0.9522  0.3172
H  0.7111  0.3382  0.3702
H  0.7200  0.6491  0.7032
H  0.7356  0.5916  0.9210
H  0.7419  0.3223  0.7095
O  0.2535  0.2785  0.1828
O  0.2569  0.2274  0.7453
O  0.2766  0.7362  0.1838
O  0.2960  0.8204  0.7468
O  0.3829  0.5166  0.5143
O  0.6440  0.5258  0.5141
O  0.7091  0.2459  0.8312
O  0.7215  0.2221  0.2688
O  0.7249  0.8111  0.2578
O  0.7459  0.7136  0.8361

Results
The volume comes out at 255.4 Å³/cell. The value obtained for the energy relative to the elements is -1343 meV per atom.

Record 3
Material: SrH16O10
Method: DFT, GGA-PBE
State: relaxed

abc: 8.8756 9.1265 6.7939
angles: 90.00 91.21 90.00
Space group C2 (No. 5)
One atom of each set of equivalent atoms:
Sr  0.0000  0.0000  0.0000
H  0.0021  0.3364  0.1842
H  0.0085  0.6779  0.8038
H  0.0920  0.2043  0.2925
H  0.0976  0.8059  0.6940
H  0.1668  0.5123  0.8004
H  0.1696  0.5149  0.1943
H  0.1906  0.1058  0.7078
H  0.2110  0.9482  0.3487
O  0.0001  0.5060  0.1099
O  0.0024  0.7826  0.7557
O  0.0061  0.2318  0.7647
O  0.2223  0.0079  0.7514
O  0.2277  0.0267  0.2538

Results
The volume comes out at 550.2 Å³/cell. The value obtained for the energy relative to the elements is -1348 meV per atom.